Entry 1:
Computed, not measured: a geometry-optimized Ta2H structure at the r2SCAN level of DFT.

Cell lengths 3.410, 3.372, 3.372 Å; angles 90.04, 90.00, 90.00 degrees
Sites, in units of the cell vectors:
H  0.000  0.000  0.000
Ta  0.741  0.000  0.500
Ta  0.259  0.500  0.000

Properties
E above lowest polymorph   12 kJ/mol of formula units

Entry 2:
Computed, not measured: a geometry-optimized TbH2 structure at the r2SCAN level of DFT.

Cell lengths 3.691, 3.691, 3.691 Å; angles 60.00, 60.00, 60.00 degrees
Sites, in units of the cell vectors:
Tb  0.000  0.000  0.000
H  0.250  0.250  0.250
H  0.750  0.750  0.750

Entry 3:
Computed, not measured: a geometry-optimized ThH2 structure at the r2SCAN level of DFT.

Cell lengths 3.799, 3.799, 3.799 Å; angles 97.38, 115.84, 115.84 degrees
Sites, in units of the cell vectors:
H  0.500  0.750  0.250
H  0.500  0.250  0.750
Th  0.000  0.000  0.000

Entry 4:
Computed, not measured: a geometry-optimized Th4H15 structure at the r2SCAN level of DFT.

Cell lengths 7.904, 7.904, 7.904 Å; angles 109.47, 109.47, 109.47 degrees
Sites, in units of the cell vectors:
Th  0.000  0.084  0.500
Th  0.416  0.416  0.416
Th  0.916  0.916  0.916
Th  0.000  0.584  0.500
Th  0.084  0.500  0.000
Th  0.584  0.500  0.000
Th  0.500  0.000  0.584
Th  0.500  0.000  0.084
H  0.625  0.375  0.250
H  0.095  0.279  0.126
H  0.750  0.875  0.125
H  0.779  0.595  0.626
H  0.250  0.625  0.375
H  0.969  0.374  0.654
H  0.315  0.846  0.221
H  0.905  0.685  0.031
H  0.815  0.721  0.346
H  0.279  0.126  0.095
H  0.126  0.095  0.279
H  0.531  0.185  0.405
H  0.874  0.469  0.154
H  0.375  0.250  0.625
H  0.346  0.815  0.721
H  0.185  0.405  0.531
H  0.125  0.750  0.875
H  0.154  0.874  0.469
H  0.875  0.125  0.750
H  0.595  0.626  0.779
H  0.221  0.315  0.846
H  0.654  0.969  0.374
H  0.721  0.346  0.815
H  0.469  0.154  0.874
H  0.685  0.031  0.905
H  0.405  0.531  0.185
H  0.031  0.905  0.685
H  0.374  0.654  0.969
H  0.626  0.779  0.595
H  0.846  0.221  0.315

Entry 5:
Computed, not measured: a geometry-optimized ThH3 structure at the r2SCAN level of DFT.

Cell lengths 4.136, 4.136, 4.136 Å; angles 129.63, 129.63, 74.00 degrees
Sites, in units of the cell vectors:
H  0.250  0.750  0.500
H  0.750  0.250  0.500
H  0.500  0.500  0.000
Th  0.000  0.000  0.000

Entry 6:
Computed, not measured: a geometry-optimized Ti2H structure at the r2SCAN level of DFT.

Cell lengths 4.229, 4.229, 4.229 Å; angles 90.00, 90.00, 90.00 degrees
Sites, in units of the cell vectors:
Ti  0.250  0.750  0.250
Ti  0.250  0.250  0.750
Ti  0.750  0.750  0.750
Ti  0.750  0.250  0.250
H  0.500  0.500  0.500
H  0.000  0.000  0.000

Entry 7:
Computed, not measured: a geometry-optimized Ti4H7 structure at the r2SCAN level of DFT.

Cell lengths 4.387, 4.387, 4.387 Å; angles 90.00, 90.00, 90.00 degrees
Sites, in units of the cell vectors:
H  0.500  0.000  0.000
H  0.000  0.000  0.500
H  0.000  0.000  0.000
H  0.000  0.500  0.500
H  0.000  0.500  0.000
H  0.500  0.500  0.000
H  0.500  0.000  0.500
Ti  0.254  0.254  0.254
Ti  0.254  0.746  0.746
Ti  0.746  0.746  0.254
Ti  0.746  0.254  0.746

Entry 8:
Computed, not measured: a geometry-optimized TiVH4 structure at the r2SCAN level of DFT.

Cell lengths 5.267, 5.267, 5.267 Å; angles 33.58, 33.58, 33.58 degrees
Sites, in units of the cell vectors:
H  0.621  0.621  0.621
H  0.128  0.128  0.128
H  0.872  0.872  0.872
H  0.379  0.379  0.379
Ti  0.000  0.000  0.000
V  0.500  0.500  0.500

Quick rundown of mass density, same order as above: 15.5 7.5 9.5 8.2 9.5 4.2 3.9 4.3 Mg/m³
Quick rundown of formation energy from the elements, same order as above: -136 -800 -564 -563 -492 -228 -510 -369 meV per atom